Below is a relaxed structure of KTaPS6, with properties calculated at the PBE level.

Computed properties:
Space-group type = P2_1/c (14)
E_form = -937.2 kJ/mol of formula units
Total energy after the MP2020 corrections = -0.432 Ry/atom
VASP energy = -5.544 eV per atom
Total magnetic moment = 0.000 μB per formula unit

Cell and atoms, written as POSCAR:
```
KTaPS6
1.0
14.225 0.000 0.000
0.000 18.060 0.000
-9.185 0.000 15.274
K Ta P S
16 16 16 96
Cartesian
-4.044 2.239 7.074 K
-8.636 6.790 14.711 K
2.435 1.301 0.616 K
-2.158 7.729 8.253 K
0.181 12.229 7.397 K
-4.412 14.860 15.034 K
1.636 0.293 5.623 K
-2.957 8.737 13.260 K
7.997 9.323 2.014 K
3.404 17.767 9.651 K
9.451 3.199 0.240 K
4.859 5.830 7.876 K
7.197 10.331 7.020 K
2.605 16.759 14.657 K
13.676 11.269 0.563 K
9.083 15.820 8.200 K
-6.869 2.113 11.451 Ta
-2.276 6.916 3.814 Ta
-0.486 3.931 4.565 Ta
-5.079 5.099 12.202 Ta
3.332 11.158 2.643 Ta
-1.261 15.931 10.280 Ta
-0.258 12.928 11.806 Ta
4.335 14.161 4.169 Ta
0.704 3.898 11.105 Ta
5.297 5.132 3.468 Ta
6.300 2.128 4.994 Ta
1.707 6.901 12.630 Ta
10.118 12.961 3.072 Ta
5.526 14.129 10.709 Ta
7.316 11.143 11.460 Ta
11.908 15.946 3.823 Ta
-2.654 9.970 5.124 P
-7.247 17.120 12.761 P
-5.851 10.990 14.614 P
-1.258 16.100 6.977 P
0.235 3.776 7.809 P
4.828 5.254 0.172 P
0.361 9.921 10.551 P
4.953 17.169 2.914 P
0.086 0.891 12.360 P
4.679 8.139 4.723 P
0.212 12.806 15.102 P
4.805 14.284 7.465 P
6.297 1.960 8.297 P
10.890 7.070 0.660 P
12.286 0.940 2.513 P
7.694 8.090 10.149 P
-2.131 11.415 3.704 S
-6.724 15.674 11.341 S
-5.750 3.966 10.049 S
-1.157 5.063 2.412 S
-7.330 3.708 13.019 S
-2.738 5.322 5.382 S
-7.339 9.863 13.761 S
-2.746 17.227 6.125 S
-3.050 10.694 6.926 S
-7.642 16.395 14.563 S
-5.141 9.466 10.897 S
-0.548 17.623 3.260 S
-5.609 0.365 12.690 S
-1.016 8.665 5.053 S
-4.445 2.842 11.154 S
0.147 6.188 3.517 S
2.558 12.454 0.594 S
-2.035 14.636 8.231 S
-4.878 11.784 12.986 S
-0.285 15.306 5.349 S
-0.822 2.452 6.609 S
-5.414 6.578 14.246 S
1.079 2.775 3.516 S
-3.513 6.255 11.153 S
1.662 9.726 2.776 S
-2.931 17.364 10.413 S
2.040 13.159 3.640 S
-2.552 13.931 11.277 S
3.621 4.436 1.625 S
-0.972 4.594 9.262 S
-3.783 3.899 14.014 S
0.810 5.131 6.377 S
-1.372 11.123 10.496 S
3.221 15.967 2.859 S
4.550 10.021 0.673 S
-0.042 17.068 8.310 S
-1.010 2.125 11.094 S
3.583 6.905 3.457 S
3.072 12.029 5.003 S
-1.520 15.061 12.640 S
1.104 9.479 8.772 S
5.696 17.611 1.135 S
4.339 0.836 3.934 S
-0.254 8.194 11.571 S
5.384 12.865 2.620 S
0.791 14.225 10.257 S
-1.359 12.015 14.067 S
3.233 15.075 6.430 S
1.806 2.985 8.844 S
6.399 6.045 1.207 S
4.248 3.835 5.017 S
-0.344 5.195 12.654 S
5.294 9.866 3.703 S
0.701 17.224 11.340 S
-0.657 0.449 14.139 S
3.936 8.581 6.502 S
6.560 2.999 2.634 S
1.967 6.031 10.271 S
1.456 11.155 11.817 S
6.049 15.935 4.180 S
5.082 0.991 6.964 S
0.489 8.039 14.601 S
1.819 2.093 12.415 S
6.411 6.937 4.778 S
4.230 12.929 8.897 S
8.822 14.161 1.260 S
6.012 13.466 6.012 S
1.419 13.624 13.648 S
7.592 4.129 3.997 S
2.999 4.901 11.634 S
7.970 0.696 4.861 S
3.377 8.334 12.498 S
8.553 11.805 4.121 S
3.960 15.285 11.757 S
10.454 11.482 1.028 S
5.861 15.608 8.665 S
5.325 2.754 9.924 S
9.917 6.276 2.288 S
7.074 3.424 7.043 S
2.482 5.606 14.680 S
4.892 11.872 11.756 S
9.485 15.218 4.119 S
6.055 9.395 10.221 S
10.648 17.695 2.584 S
5.588 0.436 12.014 S
10.180 8.594 4.377 S
12.682 1.665 0.711 S
8.089 7.365 8.348 S
7.785 0.833 9.149 S
12.378 8.197 1.512 S
7.777 12.738 9.892 S
12.370 14.352 2.255 S
6.197 12.996 12.862 S
10.790 14.093 5.225 S
11.763 2.385 3.933 S
7.171 6.645 11.570 S
```


Below is a relaxed structure of TbGd3P4O16, with properties calculated at the PBE level.

Computed properties:
Space-group type = Cm (8)
E_form = -8030.5 kJ/mol of formula units
Total energy after the MP2020 corrections = -0.707 Ry/atom
VASP energy = -9.163 eV per atom
Total magnetic moment = 20.998 μB per formula unit

Cell and atoms, written as POSCAR:
```
TbGd3P4O16
1.0
4.665 -3.516 0.000
4.665 3.516 0.000
-1.268 0.000 9.243
Tb Gd P O
1 3 4 16
Cartesian
0.000 0.000 0.000 Tb
2.389 0.000 8.089 Gd
4.032 0.000 4.621 Gd
7.689 0.000 3.464 Gd
0.370 0.000 5.782 P
2.012 0.000 2.307 P
5.677 0.000 1.150 P
6.050 0.000 6.935 P
2.024 2.300 7.668 O
0.458 0.000 2.373 O
0.081 0.000 7.312 O
2.647 1.217 3.034 O
4.405 2.297 5.053 O
2.289 0.000 0.775 O
1.923 0.000 5.706 O
5.040 1.224 0.428 O
2.647 -1.217 3.034 O
4.498 0.000 7.009 O
5.390 0.000 2.677 O
2.024 -2.300 7.668 O
5.040 -1.224 0.428 O
6.333 0.000 5.408 O
7.231 0.000 1.072 O
4.405 -2.297 5.053 O
```


Below is a relaxed structure of RbGe, with properties calculated at the PBE level.

Computed properties:
Space-group type = I4_1/acd (142)
E_form = -34.5 kJ/mol of formula units
VASP energy = -2.980 eV per atom
E above lowest polymorph = 13 meV per atom

Cell and atoms, written as POSCAR:
```
RbGe
1.0
-5.594 5.594 9.095
5.594 -5.594 9.095
5.594 5.594 -9.095
Rb Ge
16 16
Cartesian
4.247 1.450 -2.274 Rb
8.392 1.222 0.000 Rb
6.942 4.144 -2.274 Rb
4.019 5.594 -4.548 Rb
4.019 0.000 4.548 Rb
1.347 1.450 2.274 Rb
2.797 4.372 0.000 Rb
-1.347 4.144 2.274 Rb
6.942 1.450 6.822 Rb
2.797 1.222 9.095 Rb
4.247 4.144 6.822 Rb
1.575 5.594 4.548 Rb
1.575 0.000 13.643 Rb
-1.347 1.450 11.369 Rb
-2.797 4.372 9.095 Rb
1.347 4.144 11.369 Rb
4.465 -3.458 5.901 Ge
6.255 -3.926 7.742 Ge
6.724 -2.136 5.901 Ge
4.933 1.668 1.353 Ge
4.933 -1.668 7.742 Ge
6.724 2.136 3.195 Ge
6.255 3.926 1.353 Ge
4.465 3.458 3.195 Ge
1.129 2.136 5.901 Ge
-0.661 1.668 7.742 Ge
-1.129 3.458 5.901 Ge
0.661 7.262 1.353 Ge
0.661 3.926 7.742 Ge
-1.129 7.731 3.195 Ge
-0.661 9.521 1.353 Ge
1.129 9.053 3.195 Ge
```


Below is a relaxed structure of NbCr3, with properties calculated at the PBE level.

Computed properties:
Space-group type = Fm-3m (225)
E_form = 38.6 kJ/mol of formula units
VASP energy = -9.665 eV per atom
Total magnetic moment = 0.017 μB per formula unit

Cell and atoms, written as POSCAR:
```
NbCr3
1.0
0.000 2.982 2.982
2.982 0.000 2.982
2.982 2.982 0.000
Nb Cr
1 3
Cartesian
0.000 0.000 0.000 Nb
1.491 1.491 1.491 Cr
2.982 2.982 2.982 Cr
4.473 4.473 4.473 Cr
```


Below is a relaxed structure of ThSi2Ni, with properties calculated at the PBE level.

Computed properties:
Space-group type = Cmcm (63)
E_form = -330.7 kJ/mol of formula units
VASP energy = -6.868 eV per atom

Cell and atoms, written as POSCAR:
```
ThSi2Ni
1.0
2.082 -8.215 0.000
2.082 8.215 0.000
0.000 0.000 4.110
Th Si Ni
2 4 2
Cartesian
2.082 6.477 3.083 Th
2.082 -6.477 1.028 Th
2.082 4.121 1.028 Si
2.082 0.648 3.083 Si
2.082 -0.648 1.028 Si
2.082 -4.121 3.083 Si
2.082 2.969 3.083 Ni
2.082 -2.969 1.028 Ni
```


Below is a relaxed structure of NaMgPO4, with properties calculated at the PBE level.

Computed properties:
Space-group type = P2_12_12_1 (19)
E_form = -1941.9 kJ/mol of formula units
Total energy after the MP2020 corrections = -0.507 Ry/atom
VASP energy = -6.501 eV per atom
Total magnetic moment = 0.000 μB per formula unit

Cell and atoms, written as POSCAR:
```
NaMgPO4
1.0
6.932 0.000 0.000
0.000 8.899 0.000
0.000 0.000 15.507
Na Mg P O
12 12 12 48
Cartesian
0.145 0.899 4.961 Na
0.251 0.880 15.294 Na
0.371 5.416 13.094 Na
3.095 3.483 5.341 Na
3.215 8.020 7.541 Na
3.321 8.000 12.714 Na
3.611 3.551 10.546 Na
3.717 3.570 0.213 Na
3.837 7.933 2.412 Na
6.561 0.966 10.165 Na
6.681 5.329 7.966 Na
6.787 5.349 2.792 Na
1.347 2.368 7.943 Mg
1.405 6.883 10.101 Mg
1.529 6.726 5.066 Mg
1.937 2.174 12.820 Mg
2.061 2.017 2.348 Mg
2.119 6.532 0.190 Mg
4.813 2.082 7.564 Mg
4.871 6.466 5.405 Mg
4.995 6.623 10.440 Mg
5.403 2.276 2.687 Mg
5.527 2.433 13.159 Mg
5.585 6.817 15.317 Mg
0.050 3.875 10.632 P
0.204 3.831 0.247 P
0.262 8.271 2.305 P
3.204 0.629 10.059 P
3.262 5.069 8.000 P
3.416 5.025 2.879 P
3.516 0.575 4.875 P
3.670 0.619 15.260 P
3.728 5.078 13.201 P
6.670 3.821 5.448 P
6.728 8.281 7.507 P
6.882 8.325 12.628 P
0.072 3.321 9.181 O
0.125 0.990 12.649 O
0.122 3.286 14.287 O
0.169 0.949 2.279 O
0.299 7.732 3.754 O
0.303 5.403 0.256 O
0.969 3.244 6.185 O
1.046 7.880 6.689 O
1.156 7.695 11.897 O
1.344 3.545 11.412 O
1.465 3.245 0.909 O
1.540 7.892 1.524 O
1.926 1.007 9.278 O
2.001 5.654 8.662 O
2.122 5.354 3.659 O
2.310 1.205 4.144 O
2.420 1.019 14.442 O
2.497 5.656 13.938 O
3.163 3.497 8.010 O
3.167 1.168 11.507 O
3.297 7.950 10.032 O
3.344 5.614 6.533 O
3.341 7.910 4.896 O
3.394 5.579 1.427 O
3.538 1.129 6.326 O
3.588 1.164 1.220 O
3.591 3.460 2.857 O
3.636 3.500 13.228 O
3.765 5.617 11.753 O
3.769 7.946 15.250 O
4.436 1.206 9.322 O
4.512 5.469 8.817 O
4.623 5.655 3.610 O
4.810 0.904 4.095 O
4.931 1.204 14.598 O
5.006 5.457 13.982 O
5.392 3.443 6.229 O
5.467 7.695 6.845 O
5.588 7.995 11.848 O
5.776 3.245 11.363 O
5.886 3.431 1.064 O
5.963 7.694 1.569 O
6.629 0.953 7.497 O
6.633 3.282 3.999 O
6.763 5.399 5.475 O
6.807 5.440 10.611 O
6.810 7.736 8.973 O
6.860 7.770 14.079 O
```


Below is a relaxed structure of BaAg6O4, with properties calculated at the PBE level.

Computed properties:
Space-group type = Pnna (52)
E_form = -887.2 kJ/mol of formula units
Total energy after the MP2020 corrections = -0.320 Ry/atom
VASP energy = -4.105 eV per atom

Cell and atoms, written as POSCAR:
```
BaAg6O4
1.0
6.776 0.000 0.000
0.000 12.985 0.000
0.000 0.000 9.248
Ba Ag O
4 24 16
Cartesian
1.694 0.000 1.147 Ba
1.694 6.493 3.477 Ba
5.082 0.000 8.100 Ba
5.082 6.493 5.771 Ba
0.000 0.000 4.624 Ag
0.000 6.493 0.000 Ag
0.521 3.080 4.308 Ag
0.521 3.412 0.316 Ag
0.664 9.739 2.312 Ag
1.409 8.137 6.829 Ag
1.409 11.341 7.042 Ag
1.979 1.644 7.042 Ag
1.979 4.848 6.829 Ag
2.724 3.246 2.312 Ag
2.867 9.573 0.316 Ag
2.867 9.905 4.308 Ag
3.388 0.000 4.624 Ag
3.388 6.493 0.000 Ag
3.909 3.080 4.939 Ag
3.909 3.412 8.932 Ag
4.052 9.739 6.936 Ag
4.797 8.137 2.419 Ag
4.797 11.341 2.205 Ag
5.367 1.644 2.205 Ag
5.367 4.848 2.419 Ag
6.112 3.246 6.936 Ag
6.255 9.573 8.932 Ag
6.255 9.905 4.939 Ag
0.347 1.661 8.399 O
0.347 4.831 5.472 O
0.516 1.369 3.096 O
0.516 5.123 1.527 O
2.872 7.862 1.527 O
2.872 11.616 3.096 O
3.041 8.154 5.472 O
3.041 11.324 8.399 O
3.735 1.661 0.848 O
3.735 4.831 3.776 O
3.904 1.369 6.151 O
3.904 5.123 7.720 O
6.260 7.862 7.720 O
6.260 11.616 6.151 O
6.429 8.154 3.776 O
6.429 11.324 0.848 O
```


Below is a relaxed structure of Lu2CCl2, with properties calculated at the PBE level.

Computed properties:
Space-group type = R-3m (166)
E_form = -877.2 kJ/mol of formula units
Total energy after the MP2020 corrections = -0.457 Ry/atom
VASP energy = -5.966 eV per atom

Cell and atoms, written as POSCAR:
```
Lu2CCl2
1.0
1.806 1.043 9.183
-1.806 1.043 9.183
0.000 -2.085 9.183
Lu C Cl
2 1 2
Cartesian
0.000 0.000 3.295 Lu
0.000 0.000 24.253 Lu
0.000 0.000 13.774 C
0.000 0.000 7.616 Cl
0.000 0.000 19.932 Cl
```